# 1
The following is a DFT calculation (r2SCAN) of crystalline GdFe2 at its relaxed geometry.

Total DFT energy (no corrections) ... -577.623 eV/cell
ΔH_f (0 K) ... 0.16 kcal/mol of atoms
Crystal system ... cubic

Lattice parameters (Å, degrees): 7.380 7.380 7.380 90.00 90.00 90.00
Space group Fd-3m (No. 227, origin choice 2)
Unique sites:
1 Gd 0.125 0.125 0.125
2 Fe 0.000 0.000 0.500


# 2
The following is a DFT calculation (r2SCAN) of crystalline GdFe2Ge2 at its relaxed geometry.

Total DFT energy (no corrections) ... -204.434 eV/cell
ΔH_f (0 K) ... -10.37 kcal/mol of atoms
Crystal system ... monoclinic

Lattice parameters (Å, degrees): 11.552 3.953 3.950 90.00 109.84 90.00
Space group C2/m (No. 12)
Unique sites:
1 Gd 0.000 0.000 0.000
2 Fe 0.250 0.000 0.753
3 Ge 0.115 0.500 0.613